Entry 1:
Below is a relaxed CrP2H14C9O4 crystal, with properties calculated at the GGA+U level.

Output
Total magnetization: 0.00 μB per atom
ΔH_f (0 K): -0.3738 eV/atom
E: -5.91 eV per atom

Lattice parameters (Å, degrees): 8.9661 12.2536 15.7664 90.00 114.71 90.00
Element x y z (fractional)
Cr  0.1588  0.2002  0.2450
Cr  0.1588  0.2998  0.7450
Cr  0.8412  0.7002  0.2550
Cr  0.8412  0.7998  0.7550
P  0.0219  0.7373  0.9096
P  0.0219  0.7627  0.4096
P  0.3164  0.2394  0.1556
P  0.3164  0.2606  0.6556
P  0.6836  0.7394  0.3444
P  0.6836  0.7606  0.8444
P  0.9781  0.2373  0.5904
P  0.9781  0.2627  0.0904
H  0.0158  0.5385  0.8971
H  0.0158  0.9615  0.3971
H  0.1182  0.1950  0.9952
H  0.1182  0.3050  0.4952
H  0.1421  0.1611  0.5084
H  0.1421  0.3389  0.0084
H  0.1554  0.5959  0.4909
H  0.1554  0.9041  0.9909
H  0.1691  0.5823  0.0079
H  0.1691  0.9177  0.5079
H  0.2046  0.5934  0.9053
H  0.2046  0.9066  0.4053
H  0.2406  0.7138  0.5621
H  0.2406  0.7862  0.0621
H  0.2926  0.6823  0.4671
H  0.2926  0.8177  0.9671
H  0.3694  0.0654  0.6805
H  0.3694  0.4346  0.1805
H  0.3833  0.0594  0.1138
H  0.3833  0.4406  0.6138
H  0.4381  0.6300  0.3087
H  0.4381  0.8700  0.8087
H  0.4495  0.6438  0.7601
H  0.4495  0.8562  0.2601
H  0.4696  0.1655  0.0706
H  0.4696  0.3345  0.5706
H  0.4763  0.1214  0.6170
H  0.4763  0.3786  0.1170
H  0.5237  0.6214  0.8830
H  0.5237  0.8786  0.3830
H  0.5304  0.6655  0.4294
H  0.5304  0.8345  0.9294
H  0.5505  0.1438  0.7399
H  0.5505  0.3562  0.2399
H  0.5619  0.1300  0.1913
H  0.5619  0.3700  0.6913
H  0.6167  0.5594  0.3862
H  0.6167  0.9406  0.8862
H  0.6306  0.5654  0.8195
H  0.6306  0.9346  0.3195
H  0.7074  0.1823  0.0329
H  0.7074  0.3177  0.5329
H  0.7594  0.2138  0.9379
H  0.7594  0.2862  0.4379
H  0.7954  0.0934  0.5947
H  0.7954  0.4066  0.0947
H  0.8309  0.0823  0.4921
H  0.8309  0.4177  0.9921
H  0.8446  0.0959  0.0091
H  0.8446  0.4041  0.5091
H  0.8579  0.6611  0.9916
H  0.8579  0.8389  0.4916
H  0.8818  0.6950  0.5048
H  0.8818  0.8050  0.0048
H  0.9842  0.0385  0.6029
H  0.9842  0.4615  0.1029
C  0.0085  0.6789  0.2156
C  0.0085  0.8211  0.7156
C  0.1107  0.5998  0.9326
C  0.1107  0.9002  0.4326
C  0.1362  0.2369  0.5438
C  0.1362  0.2631  0.0438
C  0.1366  0.0555  0.2006
C  0.1366  0.4445  0.7006
C  0.1936  0.6809  0.4908
C  0.1936  0.8191  0.9908
C  0.2018  0.1587  0.7990
C  0.2018  0.3413  0.2990
C  0.3259  0.1527  0.3566
C  0.3259  0.3473  0.8566
C  0.4396  0.1361  0.6744
C  0.4396  0.3639  0.1744
C  0.4444  0.1392  0.1300
C  0.4444  0.3608  0.6300
C  0.5556  0.6392  0.3700
C  0.5556  0.8608  0.8700
C  0.5604  0.6361  0.8256
C  0.5604  0.8639  0.3256
C  0.6741  0.6527  0.1434
C  0.6741  0.8473  0.6434
C  0.7982  0.6587  0.7010
C  0.7982  0.8413  0.2010
C  0.8064  0.1809  0.0092
C  0.8064  0.3191  0.5092
C  0.8634  0.5555  0.2994
C  0.8634  0.9445  0.7994
C  0.8638  0.7369  0.9562
C  0.8638  0.7631  0.4562
C  0.8893  0.0998  0.5674
C  0.8893  0.4002  0.0674
C  0.9915  0.1789  0.2844
C  0.9915  0.3211  0.7844
O  0.1142  0.6647  0.1911
O  0.1142  0.8353  0.6911
O  0.1283  0.5353  0.6759
O  0.1283  0.9647  0.1759
O  0.2366  0.0754  0.8384
O  0.2366  0.4246  0.3384
O  0.4292  0.1239  0.4284
O  0.4292  0.3761  0.9284
O  0.5708  0.6239  0.0716
O  0.5708  0.8761  0.5716
O  0.7634  0.5754  0.6616
O  0.7634  0.9246  0.1616
O  0.8717  0.0353  0.8241
O  0.8717  0.4647  0.3241
O  0.8858  0.1647  0.3089
O  0.8858  0.3353  0.8089


Entry 2:
Below is a relaxed Sr3Ca5Ti3Mn5O24 crystal, with properties calculated at the GGA+U level.

Output
Total magnetization: 0.38 μB per atom
ΔH_f (0 K): -2.8478 eV/atom
E: -7.31 eV per atom

Lattice parameters (Å, degrees): 7.6994 7.7319 7.7343 90.00 89.99 89.99
Element x y z (fractional)
Sr  0.0000  0.0000  0.0000
Sr  0.0005  0.9999  0.5029
Sr  0.4911  0.0000  0.9999
Ca  0.0033  0.4961  0.5039
Ca  0.0035  0.4961  0.9992
Ca  0.4874  0.4961  0.9992
Ca  0.4882  0.0008  0.5037
Ca  0.4876  0.4959  0.5039
Ti  0.7441  0.2510  0.2530
Ti  0.7441  0.7440  0.7506
Ti  0.7440  0.7458  0.2524
Mn  0.2458  0.2505  0.2523
Mn  0.2460  0.2500  0.7509
Mn  0.2458  0.7463  0.2522
Mn  0.2458  0.7462  0.7508
Mn  0.7446  0.2496  0.7511
O  0.2460  0.2562  0.0014
O  0.2458  0.4981  0.2520
O  0.2461  0.4984  0.7509
O  0.2458  0.7406  0.0012
O  0.2492  0.2532  0.5015
O  0.2494  0.9986  0.7478
O  0.2496  0.7437  0.5018
O  0.2496  0.9987  0.2552
O  0.4922  0.2522  0.2536
O  0.4922  0.7447  0.2536
O  0.4922  0.7447  0.7493
O  0.4956  0.2530  0.7478
O  0.7432  0.0018  0.7491
O  0.7434  0.2523  0.5047
O  0.7439  0.7449  0.5017
O  0.7437  0.9988  0.2534
O  0.7447  0.2538  0.9982
O  0.7447  0.4951  0.7506
O  0.7447  0.4982  0.2524
O  0.7448  0.7440  0.0012
O  0.9956  0.2562  0.7510
O  0.9989  0.2537  0.2522
O  0.9990  0.7433  0.2523
O  0.9989  0.7432  0.7507


Entry 3:
Below is a relaxed Fe4O5F3 crystal, with properties calculated at the GGA+U level.

Output
Total magnetization: 1.58 μB per atom
Excess energy over the best structure of this formula in the dataset: 0.027 eV per atom
ΔH_f (0 K): -1.8443 eV/atom
E: -6.05 eV per atom

Lattice parameters (Å, degrees): 5.6400 5.6400 5.6400 115.25 110.75 102.65
Element x y z (fractional)
Fe  0.0000  0.0000  0.0000
Fe  0.4986  0.2398  0.7412
Fe  0.4986  0.7574  0.2588
Fe  0.9606  0.4606  0.5000
O  0.1823  0.2440  0.4509
O  0.1823  0.7314  0.9383
O  0.6758  0.1758  0.5000
O  0.7930  0.2440  0.0617
O  0.7930  0.7314  0.5491
F  0.2963  0.7963  0.5000
F  0.3005  0.3005  0.0000
F  0.6840  0.6840  0.0000


Entry 4:
Below is a relaxed MnPH2CO6 crystal, with properties calculated at the GGA+U level.

Output
Total magnetization: 0.00 μB per atom
ΔH_f (0 K): -1.9826 eV/atom
E: -6.94 eV per atom

Lattice parameters (Å, degrees): 6.1223 9.2806 9.2806 111.00 83.57 83.57
Element x y z (fractional)
Mn  0.2500  0.9420  0.5579
Mn  0.7500  0.0580  0.4421
Mn  0.7500  0.4420  0.0580
Mn  0.2500  0.5580  0.9421
P  0.0000  0.3294  0.6706
P  0.5000  0.8294  0.1706
P  0.5000  0.1706  0.8294
P  0.0000  0.6706  0.3294
H  0.6871  0.4925  0.6822
H  0.1871  0.9925  0.1822
H  0.8129  0.8178  0.0075
H  0.3129  0.3178  0.5075
H  0.1871  0.1822  0.9925
H  0.6871  0.6822  0.4925
H  0.3129  0.5075  0.3178
H  0.8129  0.0075  0.8178
C  0.3765  0.7204  0.7204
C  0.8765  0.2204  0.2204
C  0.6235  0.2796  0.2796
C  0.1235  0.7796  0.7796
O  0.4697  0.6251  0.7730
O  0.9697  0.1251  0.2731
O  0.9697  0.2730  0.1251
O  0.4697  0.7731  0.6251
O  0.0303  0.7270  0.8749
O  0.5303  0.2269  0.3749
O  0.5303  0.3749  0.2270
O  0.0303  0.8749  0.7269
O  0.5161  0.6510  0.0974
O  0.0161  0.1510  0.5974
O  0.9839  0.4026  0.8490
O  0.4839  0.9026  0.3490
O  0.0161  0.5974  0.1510
O  0.5161  0.0974  0.6510
O  0.4839  0.3490  0.9026
O  0.9839  0.8490  0.4026
O  0.2909  0.8932  0.1134
O  0.7908  0.3932  0.6134
O  0.2091  0.3866  0.6068
O  0.7092  0.8866  0.1068
O  0.7909  0.6134  0.3932
O  0.2908  0.1134  0.8932
O  0.7091  0.1068  0.8866
O  0.2092  0.6068  0.3866


Entry 5:
Below is a relaxed BaSrDyVO6 crystal, with properties calculated at the GGA+U level.

Output
Total magnetization: 0.00 μB per atom
ΔH_f (0 K): -3.1637 eV/atom
E: -7.28 eV per atom

Lattice parameters (Å, degrees): 5.8570 5.8570 5.8570 60.00 60.00 60.00
Element x y z (fractional)
Ba  0.0000  0.0000  0.0000
Sr  0.5000  0.5000  0.5000
Dy  0.7500  0.7500  0.7500
V  0.2500  0.2500  0.2500
O  0.0192  0.0192  0.4808
O  0.0192  0.4808  0.0192
O  0.0192  0.4808  0.4808
O  0.4808  0.0192  0.0192
O  0.4808  0.0192  0.4808
O  0.4808  0.4808  0.0192


Entry 6:
Below is a relaxed MgMnCuO2 crystal, with properties calculated at the GGA+U level.

Output
Total magnetization: 0.95 μB per atom
Excess energy over the best structure of this formula in the dataset: 0.029 eV per atom
ΔH_f (0 K): -1.4916 eV/atom
E: -5.83 eV per atom

Lattice parameters (Å, degrees): 3.2218 3.2218 7.8390 97.31 97.31 56.00
Element x y z (fractional)
Mg  0.0000  0.0000  0.0000
Mn  0.7496  0.7496  0.6549
Cu  0.3780  0.3780  0.2898
O  0.2953  0.2953  0.8841
O  0.4068  0.4068  0.5364


Entry 7:
Below is a relaxed Ni5Se4Br2O12 crystal, with properties calculated at the GGA+U level.

Output
Total magnetization: 0.00 μB per atom
ΔH_f (0 K): -1.1726 eV/atom
E: -4.85 eV per atom

Lattice parameters (Å, degrees): 7.8235 10.2312 9.3591 84.74 83.20 107.73
Element x y z (fractional)
Ni  0.2500  0.2500  0.7500
Ni  0.4174  0.8396  0.4694
Ni  0.0826  0.6604  0.0306
Ni  0.9984  0.3491  0.5257
Ni  0.5016  0.1509  0.9743
Ni  0.7500  0.7500  0.2500
Ni  0.9174  0.3397  0.9694
Ni  0.5826  0.1603  0.5306
Ni  0.4984  0.8491  0.0257
Ni  0.0016  0.6509  0.4743
Se  0.2628  0.5739  0.7325
Se  0.7628  0.0740  0.2325
Se  0.7372  0.4260  0.2675
Se  0.2372  0.9261  0.7675
Se  0.3357  0.5657  0.2719
Se  0.8357  0.0657  0.7719
Se  0.6643  0.4343  0.7281
Se  0.1643  0.9343  0.2281
Br  0.7014  0.6845  0.9811
Br  0.2013  0.1845  0.4811
Br  0.2987  0.3155  0.0189
Br  0.7986  0.8155  0.5189
O  0.7097  0.1896  0.1113
O  0.2097  0.6896  0.6112
O  0.2903  0.8104  0.8888
O  0.7903  0.3104  0.3887
O  0.8703  0.4761  0.6173
O  0.3703  0.9761  0.1173
O  0.1297  0.5239  0.3827
O  0.6297  0.0239  0.8827
O  0.9821  0.1928  0.8519
O  0.4821  0.6928  0.3519
O  0.0179  0.8072  0.1481
O  0.5179  0.3072  0.6481
O  0.6973  0.3291  0.8716
O  0.1973  0.8291  0.3716
O  0.3027  0.6709  0.1284
O  0.8027  0.1709  0.6284
O  0.0804  0.5326  0.8730
O  0.5804  0.0326  0.3730
O  0.9196  0.4674  0.1270
O  0.4196  0.9674  0.6270
O  0.2082  0.4224  0.6543
O  0.7082  0.9224  0.1543
O  0.7918  0.5776  0.3457
O  0.2918  0.0776  0.8457


Entry 8:
Below is a relaxed Mn3S2O12 crystal, with properties calculated at the GGA+U level.

Output
Total magnetization: 0.53 μB per atom
ΔH_f (0 K): -1.6093 eV/atom
E: -6.43 eV per atom

Lattice parameters (Å, degrees): 7.1242 9.6857 12.9551 90.00 90.00 90.00
Element x y z (fractional)
Mn  0.0631  0.0351  0.1361
Mn  0.0631  0.0351  0.3639
Mn  0.0631  0.4649  0.6361
Mn  0.0631  0.4649  0.8639
Mn  0.2938  0.7479  0.2500
Mn  0.2938  0.7521  0.7500
Mn  0.7062  0.2479  0.2500
Mn  0.7062  0.2521  0.7500
Mn  0.9369  0.5351  0.1361
Mn  0.9369  0.5351  0.3639
Mn  0.9369  0.9649  0.6361
Mn  0.9369  0.9649  0.8639
S  0.2036  0.7500  0.0000
S  0.2036  0.7500  0.5000
S  0.2964  0.0746  0.7500
S  0.2964  0.4254  0.2500
S  0.7036  0.5746  0.7500
S  0.7036  0.9254  0.2500
S  0.7964  0.2500  0.0000
S  0.7964  0.2500  0.5000
O  0.0275  0.6432  0.2500
O  0.0275  0.8568  0.7500
O  0.0808  0.6230  0.0013
O  0.0808  0.6230  0.4987
O  0.0808  0.8770  0.5013
O  0.0808  0.8770  0.9987
O  0.1741  0.5724  0.7500
O  0.1741  0.9276  0.2500
O  0.1760  0.0799  0.6549
O  0.1760  0.0799  0.8451
O  0.1760  0.4201  0.1549
O  0.1760  0.4201  0.3451
O  0.2617  0.1037  0.0884
O  0.2617  0.1037  0.4116
O  0.2617  0.3963  0.5884
O  0.2617  0.3963  0.9116
O  0.3228  0.7467  0.5921
O  0.3228  0.7467  0.9079
O  0.3228  0.7533  0.0921
O  0.3228  0.7533  0.4079
O  0.4106  0.5553  0.2500
O  0.4106  0.9447  0.7500
O  0.4208  0.1942  0.7500
O  0.4208  0.3058  0.2500
O  0.5792  0.6942  0.7500
O  0.5792  0.8058  0.2500
O  0.5894  0.0553  0.2500
O  0.5894  0.4447  0.7500
O  0.6772  0.2467  0.5921
O  0.6772  0.2467  0.9079
O  0.6772  0.2533  0.0921
O  0.6772  0.2533  0.4079
O  0.7383  0.6037  0.0884
O  0.7383  0.6037  0.4116
O  0.7383  0.8963  0.5884
O  0.7383  0.8963  0.9116
O  0.8240  0.5799  0.6549
O  0.8240  0.5799  0.8451
O  0.8240  0.9201  0.1549
O  0.8240  0.9201  0.3451
O  0.8259  0.0724  0.7500
O  0.8259  0.4276  0.2500
O  0.9192  0.1230  0.0013
O  0.9192  0.1230  0.4987
O  0.9192  0.3770  0.5013
O  0.9192  0.3770  0.9987
O  0.9725  0.1432  0.2500
O  0.9725  0.3568  0.7500


Entry 9:
Below is a relaxed FeSb2O6 crystal, with properties calculated at the GGA+U level.

Output
ΔH_f (0 K): -1.8695 eV/atom
E: -6.32 eV per atom

Lattice parameters (Å, degrees): 4.7533 9.5067 9.4842 90.00 90.00 90.00
Element x y z (fractional)
Fe  0.0000  0.5000  0.0000
Fe  0.5000  0.7500  0.5000
Fe  0.0000  0.0000  0.0000
Fe  0.5000  0.2500  0.5000
Sb  0.0000  0.0000  0.3321
Sb  0.0000  0.5000  0.3321
Sb  0.5000  0.2500  0.8321
Sb  0.5000  0.7500  0.8321
Sb  0.5000  0.2500  0.1679
Sb  0.5000  0.7500  0.1679
Sb  0.0000  0.0000  0.6679
Sb  0.0000  0.5000  0.6679
O  0.3122  0.1561  0.0000
O  0.3122  0.6561  0.0000
O  0.1878  0.4061  0.5000
O  0.1878  0.9061  0.5000
O  0.8122  0.0939  0.5000
O  0.8122  0.5939  0.5000
O  0.6878  0.3439  0.0000
O  0.6878  0.8439  0.0000
O  0.3008  0.1504  0.3264
O  0.3008  0.6504  0.3264
O  0.1992  0.4004  0.8264
O  0.1992  0.9004  0.8264
O  0.8008  0.0996  0.8264
O  0.8008  0.5996  0.8264
O  0.8008  0.0996  0.1736
O  0.8008  0.5996  0.1736
O  0.1992  0.4004  0.1736
O  0.1992  0.9004  0.1736
O  0.6992  0.3496  0.3264
O  0.6992  0.8496  0.3264
O  0.3008  0.1504  0.6736
O  0.3008  0.6504  0.6736
O  0.6992  0.3496  0.6736
O  0.6992  0.8496  0.6736